Entry 1:
Compound: Sr6Co4O13
Source: the Materials Project
Functional: PBE with a Hubbard U
Structure: optimized geometry

Cell lengths 10.4780, 10.4780, 5.4924 Å; angles 90.00, 90.00, 149.65 degrees
Sites, in units of the cell vectors:
Sr: 0.0000 0.0000 0.0000
Sr: 0.1793 0.8207 0.0000
Sr: 0.3184 0.6816 0.5000
Sr: 0.5000 0.5000 0.5000
Sr: 0.6816 0.3184 0.5000
Sr: 0.8207 0.1793 0.0000
Co: 0.0937 0.9063 0.5000
Co: 0.3933 0.6067 0.0000
Co: 0.6067 0.3933 0.0000
Co: 0.9063 0.0937 0.5000
O: 0.0000 0.0000 0.5000
O: 0.1712 0.3512 0.2391
O: 0.1712 0.3512 0.7609
O: 0.1919 0.8081 0.5000
O: 0.3021 0.6979 0.0000
O: 0.3512 0.1712 0.2391
O: 0.3512 0.1712 0.7609
O: 0.6488 0.8288 0.2391
O: 0.6488 0.8288 0.7609
O: 0.6979 0.3021 0.0000
O: 0.8081 0.1919 0.5000
O: 0.8288 0.6488 0.2391
O: 0.8288 0.6488 0.7609

Results
**Magnetization**: 12.01 Bohr magnetons per cell
**Total energy after the MP2020 corrections**: -154.77 eV for the cell shown
**Energy relative to the elements**: -217.6 kJ/mol of atoms

=====

Entry 2:
Compound: Li4FeCo9O20
Source: the Materials Project
Functional: PBE with a Hubbard U
Structure: optimized geometry

Cell lengths 4.9056, 7.5161, 10.0387 Å; angles 80.81, 85.34, 71.04 degrees
Sites, in units of the cell vectors:
Li: 0.0000 0.0000 0.0000
Li: 0.1988 0.5618 0.0036
Li: 0.4919 0.4992 0.5025
Li: 0.7121 0.0628 0.5058
Fe: 0.6426 0.9233 0.2499
Co: 0.0456 0.1311 0.2541
Co: 0.1463 0.4294 0.7512
Co: 0.2450 0.7275 0.2545
Co: 0.3477 0.0292 0.7525
Co: 0.4466 0.3304 0.2515
Co: 0.5479 0.6308 0.7541
Co: 0.7461 0.2299 0.7545
Co: 0.8468 0.5267 0.2528
Co: 0.9483 0.8294 0.7510
O: 0.0121 0.0509 0.6546
O: 0.0705 0.2096 0.8496
O: 0.1213 0.3496 0.1553
O: 0.1802 0.5073 0.3505
O: 0.2241 0.6450 0.6550
O: 0.2650 0.8111 0.8537
O: 0.2929 0.9503 0.1494
O: 0.3686 0.1186 0.3521
O: 0.4280 0.2502 0.6521
O: 0.4658 0.4126 0.8505
O: 0.5120 0.5493 0.1551
O: 0.5645 0.6975 0.3553
O: 0.6252 0.8520 0.6546
O: 0.6821 0.0084 0.8510
O: 0.7332 0.1569 0.1514
O: 0.7659 0.3092 0.3541
O: 0.8148 0.4483 0.6561
O: 0.8852 0.6090 0.8495
O: 0.9399 0.7410 0.1474
O: 0.9843 0.9153 0.3552

Results
**Magnetization**: 11.00 Bohr magnetons per cell
**Total energy after the MP2020 corrections**: -227.80 eV for the cell shown
**Energy relative to the elements**: -138.4 kJ/mol of atoms

=====

Entry 3:
Compound: Sr2MgFeMoO6
Source: the Materials Project
Functional: PBE with a Hubbard U
Structure: optimized geometry

Cell lengths 5.7430, 5.7828, 5.8328 Å; angles 61.50, 64.43, 87.86 degrees
Sites, in units of the cell vectors:
Sr: 0.1362 0.1922 0.1195
Sr: 0.8638 0.8078 0.8805
Mg: 0.5000 0.5000 0.5000
Fe: 0.0000 0.5000 0.5000
Mo: 0.5000 0.0000 0.5000
O: 0.2156 0.2318 0.6130
O: 0.2554 0.6705 0.9805
O: 0.2563 0.7689 0.4494
O: 0.7437 0.2311 0.5506
O: 0.7446 0.3295 0.0195
O: 0.7844 0.7682 0.3870

Results
**Magnetization**: 8.00 Bohr magnetons per cell
**Total energy after the MP2020 corrections**: -78.53 eV for the cell shown
**Energy relative to the elements**: -215.3 kJ/mol of atoms

=====

Entry 4:
Compound: Li2VF6
Source: the Materials Project
Functional: PBE with a Hubbard U
Structure: optimized geometry

Cell lengths 5.1297, 5.0213, 15.0897 Å; angles 90.00, 96.39, 90.00 degrees
Sites, in units of the cell vectors:
Li: 0.1785 0.0213 0.0876
Li: 0.1785 0.4787 0.5876
Li: 0.2443 0.5111 0.2488
Li: 0.2443 0.9889 0.7488
Li: 0.7557 0.0111 0.2512
Li: 0.7557 0.4889 0.7512
Li: 0.8215 0.5213 0.4124
Li: 0.8215 0.9787 0.9124
V: 0.3265 0.0613 0.4002
V: 0.3265 0.4387 0.9002
V: 0.6735 0.5613 0.0998
V: 0.6735 0.9387 0.5998
F: 0.0673 0.2104 0.3046
F: 0.0673 0.2896 0.8046
F: 0.0994 0.7197 0.8723
F: 0.0994 0.7803 0.3723
F: 0.1399 0.2051 0.9679
F: 0.1399 0.2949 0.4679
F: 0.3696 0.6774 0.0116
F: 0.3696 0.8226 0.5116
F: 0.4267 0.1616 0.6527
F: 0.4267 0.3384 0.1527
F: 0.4808 0.6765 0.6602
F: 0.4808 0.8235 0.1602
F: 0.5192 0.1765 0.8398
F: 0.5192 0.3235 0.3398
F: 0.5733 0.6616 0.8473
F: 0.5733 0.8384 0.3473
F: 0.6304 0.1774 0.4884
F: 0.6304 0.3226 0.9884
F: 0.8601 0.7051 0.5321
F: 0.8601 0.7949 0.0321
F: 0.9006 0.2197 0.6277
F: 0.9006 0.2803 0.1277
F: 0.9327 0.7104 0.1954
F: 0.9327 0.7896 0.6954

Results
**Magnetization**: 4.00 Bohr magnetons per cell
**Total energy after the MP2020 corrections**: -207.75 eV for the cell shown
**Energy relative to the elements**: -295.3 kJ/mol of atoms
**Energy above the lowest structure with this stoichiometry**: 0.0882 eV/atom

=====

Entry 5:
Compound: KEuHfFeO6
Source: the Materials Project
Functional: PBE with a Hubbard U
Structure: optimized geometry

Cell lengths 5.6603, 5.6603, 5.6603 Å; angles 60.00, 60.00, 60.00 degrees
Sites, in units of the cell vectors:
K: 0.0000 0.0000 0.0000
Eu: 0.5000 0.5000 0.5000
Hf: 0.2500 0.2500 0.2500
Fe: 0.7500 0.7500 0.7500
O: 0.5073 0.5073 0.9927
O: 0.5073 0.9927 0.5073
O: 0.5073 0.9927 0.9927
O: 0.9927 0.5073 0.5073
O: 0.9927 0.5073 0.9927
O: 0.9927 0.9927 0.5073

Results
**Magnetization**: 10.00 Bohr magnetons per cell
**Total energy after the MP2020 corrections**: -85.49 eV for the cell shown
**Energy relative to the elements**: -251.0 kJ/mol of atoms

=====

Entry 6:
Compound: Sr3CaTiMn3O10
Source: the Materials Project
Functional: PBE with a Hubbard U
Structure: optimized geometry

Cell lengths 11.1575, 11.3279, 17.6994 Å; angles 108.53, 108.17, 90.10 degrees
Sites, in units of the cell vectors:
Sr: 0.0000 0.0000 0.0000
Sr: 0.9999 0.0012 0.4993
Sr: 0.9996 0.5030 0.0016
Sr: 0.1398 0.1446 0.7782
Sr: 0.1416 0.1394 0.2811
Sr: 0.1427 0.6423 0.2800
Sr: 0.2517 0.2362 0.9998
Sr: 0.2524 0.2386 0.5021
Sr: 0.2523 0.7418 0.5021
Sr: 0.3924 0.3785 0.2805
Sr: 0.3921 0.8799 0.2795
Sr: 0.4971 0.0032 0.0008
Sr: 0.5020 0.0000 0.5002
Sr: 0.5045 0.5012 0.4998
Sr: 0.6369 0.6389 0.7766
Sr: 0.6413 0.6421 0.2799
Sr: 0.6418 0.1405 0.2807
Sr: 0.7450 0.2394 0.0013
Sr: 0.7487 0.7404 0.0009
Sr: 0.7514 0.2405 0.5012
Sr: 0.7519 0.7401 0.5014
Sr: 0.8905 0.3804 0.2804
Sr: 0.8910 0.8800 0.2807
Sr: 0.9988 0.5010 0.5016
Ca: 0.1366 0.6418 0.7802
Ca: 0.2458 0.7377 0.9982
Ca: 0.3853 0.3715 0.7806
Ca: 0.3858 0.8767 0.7803
Ca: 0.4961 0.5033 0.9973
Ca: 0.6326 0.1473 0.7794
Ca: 0.8858 0.8740 0.7796
Ca: 0.8889 0.3746 0.7819
Ti: 0.1916 0.9356 0.8833
Ti: 0.1981 0.4408 0.3908
Ti: 0.1978 0.4418 0.8917
Ti: 0.4391 0.6884 0.8871
Ti: 0.6902 0.9364 0.8841
Ti: 0.6912 0.4397 0.8883
Ti: 0.9404 0.1888 0.8884
Ti: 0.9469 0.6889 0.8870
Mn: 0.0534 0.3496 0.6462
Mn: 0.0549 0.3427 0.1399
Mn: 0.0546 0.8440 0.6416
Mn: 0.0583 0.8424 0.1383
Mn: 0.1974 0.9383 0.3894
Mn: 0.3006 0.0311 0.1353
Mn: 0.3040 0.5356 0.6429
Mn: 0.3046 0.0370 0.6413
Mn: 0.3068 0.5379 0.1393
Mn: 0.4457 0.1888 0.8880
Mn: 0.4475 0.1897 0.3907
Mn: 0.4488 0.6910 0.3901
Mn: 0.5517 0.8380 0.1364
Mn: 0.5533 0.3426 0.6441
Mn: 0.5526 0.3476 0.1392
Mn: 0.5554 0.8499 0.6426
Mn: 0.6972 0.9394 0.3898
Mn: 0.6982 0.4414 0.3904
Mn: 0.8012 0.5359 0.1372
Mn: 0.8022 0.0394 0.6449
Mn: 0.8027 0.0348 0.1370
Mn: 0.8094 0.5334 0.6426
Mn: 0.9470 0.1910 0.3905
Mn: 0.9477 0.6901 0.3907
O: 0.0151 0.2303 0.0120
O: 0.0180 0.7345 0.5214
O: 0.0193 0.2499 0.5327
O: 0.0216 0.7314 0.0145
O: 0.0631 0.0505 0.8753
O: 0.0676 0.5594 0.8753
O: 0.0687 0.0643 0.3864
O: 0.0698 0.5584 0.3820
O: 0.0755 0.8193 0.3966
O: 0.0768 0.3218 0.3982
O: 0.0768 0.3240 0.8976
O: 0.0815 0.8167 0.8996
O: 0.1234 0.5126 0.6494
O: 0.1263 0.5072 0.1375
O: 0.1276 0.0105 0.1383
O: 0.1297 0.0120 0.6419
O: 0.1353 0.8583 0.2580
O: 0.1390 0.3557 0.2624
O: 0.1419 0.3574 0.7611
O: 0.1454 0.8420 0.7635
O: 0.2624 0.0232 0.0184
O: 0.2666 0.5218 0.5190
O: 0.2683 0.5360 0.0137
O: 0.2689 0.0200 0.5255
O: 0.3123 0.0485 0.8780
O: 0.3156 0.5612 0.8733
O: 0.3174 0.5610 0.3826
O: 0.3188 0.0644 0.3850
O: 0.3238 0.8186 0.3974
O: 0.3246 0.3186 0.3971
O: 0.3249 0.3316 0.8989
O: 0.3275 0.8144 0.9027
O: 0.3656 0.8658 0.1291
O: 0.3763 0.8785 0.6509
O: 0.3778 0.3684 0.1374
O: 0.3783 0.3690 0.6509
O: 0.3812 0.1326 0.2485
O: 0.3861 0.1519 0.7517
O: 0.3880 0.6448 0.2610
O: 0.3927 0.6615 0.7646
O: 0.5152 0.2449 0.5294
O: 0.5158 0.7379 0.5215
O: 0.5166 0.7200 0.0123
O: 0.5189 0.2365 0.0267
O: 0.5656 0.5543 0.8758
O: 0.5667 0.0640 0.3850
O: 0.5696 0.5593 0.3832
O: 0.5712 0.0500 0.8734
O: 0.5737 0.3184 0.3952
O: 0.5743 0.8178 0.3982
O: 0.5781 0.8219 0.8985
O: 0.5810 0.3277 0.8981
O: 0.6161 0.5065 0.1292
O: 0.6247 0.0249 0.6497
O: 0.6278 0.0051 0.1372
O: 0.6282 0.4990 0.6417
O: 0.6333 0.3595 0.2548
O: 0.6346 0.8544 0.2568
O: 0.6462 0.3509 0.7619
O: 0.6519 0.8501 0.7635
O: 0.7666 0.0205 0.5274
O: 0.7674 0.0225 0.0165
O: 0.7681 0.5244 0.0145
O: 0.7685 0.5219 0.5214
O: 0.8173 0.0607 0.8759
O: 0.8170 0.5598 0.3822
O: 0.8197 0.0651 0.3851
O: 0.8209 0.5595 0.8769
O: 0.8249 0.3169 0.3958
O: 0.8264 0.3156 0.8965
O: 0.8278 0.8145 0.3974
O: 0.8308 0.8165 0.8978
O: 0.8726 0.3741 0.1374
O: 0.8765 0.8799 0.6509
O: 0.8782 0.3650 0.6505
O: 0.8790 0.8759 0.1375
O: 0.8809 0.1382 0.2507
O: 0.8818 0.6383 0.2551
O: 0.8923 0.1560 0.7629
O: 0.8972 0.6584 0.7630

Results
**Magnetization**: 103.70 Bohr magnetons per cell
**Total energy after the MP2020 corrections**: -1140.01 eV for the cell shown
**Energy relative to the elements**: -271.1 kJ/mol of atoms

=====

Entry 7:
Compound: Li3V3P8O29
Source: the Materials Project
Functional: PBE with a Hubbard U
Structure: optimized geometry

Cell lengths 9.7692, 9.7861, 14.3375 Å; angles 89.90, 89.15, 60.10 degrees
Sites, in units of the cell vectors:
Li: 0.0000 0.0000 0.0000
Li: 0.0009 0.1383 0.4988
Li: 0.3891 0.6054 0.5012
Li: 0.5304 0.6034 0.9927
Li: 0.6139 0.8352 0.8777
Li: 0.6159 0.6969 0.3860
V: 0.3022 0.4796 0.6944
V: 0.3088 0.3467 0.1894
V: 0.7351 0.9243 0.6835
V: 0.7423 0.4786 0.1889
V: 0.8742 0.9108 0.1942
V: 0.8801 0.3468 0.6942
P: 0.0803 0.8275 0.6036
P: 0.0828 0.2292 0.1027
P: 0.2229 0.6859 0.1041
P: 0.2259 0.2271 0.5976
P: 0.3892 0.1438 0.7816
P: 0.3931 0.5969 0.2843
P: 0.5308 0.0033 0.2766
P: 0.5357 0.5947 0.7790
P: 0.6278 0.8259 0.0966
P: 0.6299 0.6816 0.6011
P: 0.6423 0.2562 0.5707
P: 0.6439 0.2473 0.0717
P: 0.9641 0.5901 0.8097
P: 0.9707 0.5804 0.3084
P: 0.9854 0.0017 0.7834
P: 0.9863 0.1461 0.2818
O: 0.0467 0.1562 0.3736
O: 0.0492 0.9324 0.8750
O: 0.0524 0.8295 0.1035
O: 0.0534 0.2541 0.6054
O: 0.0713 0.1450 0.0208
O: 0.0738 0.9232 0.5219
O: 0.1035 0.8992 0.6999
O: 0.1036 0.1310 0.1981
O: 0.1171 0.5841 0.7650
O: 0.1201 0.4366 0.2643
O: 0.2163 0.3893 0.6202
O: 0.2163 0.5319 0.1182
O: 0.2228 0.6575 0.6026
O: 0.2243 0.2580 0.1060
O: 0.2948 0.7109 0.2000
O: 0.3073 0.1240 0.6897
O: 0.3077 0.1505 0.8696
O: 0.3075 0.1520 0.5098
O: 0.3180 0.6819 0.0215
O: 0.3214 0.6647 0.3768
O: 0.3910 0.1734 0.2727
O: 0.3915 0.5714 0.7737
O: 0.3995 0.2980 0.7614
O: 0.4008 0.4379 0.2624
O: 0.4906 0.4043 0.6112
O: 0.4939 0.2507 0.1165
O: 0.5113 0.9246 0.1817
O: 0.5174 0.7038 0.6904
O: 0.5390 0.9097 0.3594
O: 0.5449 0.6727 0.8666
O: 0.5513 0.6741 0.5138
O: 0.5613 0.9998 0.7733
O: 0.5616 0.5777 0.2748
O: 0.5630 0.8959 0.0046
O: 0.6409 0.4004 0.1150
O: 0.6424 0.1045 0.6153
O: 0.6418 0.2617 0.9685
O: 0.6471 0.6578 0.1052
O: 0.6490 0.2501 0.4672
O: 0.6519 0.8274 0.6067
O: 0.6873 0.0100 0.2613
O: 0.6893 0.4350 0.7621
O: 0.7865 0.8182 0.1193
O: 0.7885 0.5307 0.6179
O: 0.7928 0.0975 0.1095
O: 0.7928 0.2515 0.6119
O: 0.8162 0.7377 0.7695
O: 0.8194 0.5825 0.2672
O: 0.8259 0.0109 0.7604
O: 0.8256 0.2968 0.2589
O: 0.9242 0.8212 0.6176
O: 0.9276 0.3922 0.1197
O: 0.9597 0.5894 0.4115
O: 0.9619 0.5840 0.9128
O: 0.9632 0.1695 0.7688
O: 0.9635 0.0013 0.2680
O: 0.9670 0.4386 0.7643
O: 0.9689 0.7317 0.2642

Results
**Magnetization**: 0.00 Bohr magnetons per cell
**Total energy after the MP2020 corrections**: -656.20 eV for the cell shown
**Energy relative to the elements**: -243.1 kJ/mol of atoms
**Energy above the lowest structure with this stoichiometry**: 0.0138 eV/atom

=====

Entry 8:
Compound: Na3LiMnBPO7
Source: the Materials Project
Functional: PBE with a Hubbard U
Structure: optimized geometry

Cell lengths 5.2707, 6.8387, 9.6322 Å; angles 90.00, 93.42, 90.00 degrees
Sites, in units of the cell vectors:
Na: 0.2154 0.0135 0.2818
Na: 0.2154 0.4865 0.2818
Na: 0.2509 0.2500 0.5686
Na: 0.7491 0.7500 0.4314
Na: 0.7846 0.5135 0.7182
Na: 0.7846 0.9865 0.7182
Li: 0.0000 0.0000 0.0000
Li: 0.0000 0.5000 0.0000
Mn: 0.2932 0.7500 0.8200
Mn: 0.7068 0.2500 0.1800
B: 0.2738 0.7500 0.5567
B: 0.7262 0.2500 0.4433
P: 0.3204 0.2500 0.9222
P: 0.6796 0.7500 0.0778
O: 0.0504 0.7500 0.6284
O: 0.1859 0.2500 0.0647
O: 0.2201 0.0656 0.8403
O: 0.2201 0.4344 0.8403
O: 0.2764 0.7500 0.4148
O: 0.3867 0.7500 0.0512
O: 0.5000 0.2500 0.3578
O: 0.5000 0.7500 0.6422
O: 0.6133 0.2500 0.9488
O: 0.7236 0.2500 0.5852
O: 0.7799 0.5656 0.1597
O: 0.7799 0.9344 0.1597
O: 0.8141 0.7500 0.9353
O: 0.9496 0.2500 0.3716

Results
**Magnetization**: 10.00 Bohr magnetons per cell
**Total energy after the MP2020 corrections**: -191.99 eV for the cell shown
**Energy relative to the elements**: -235.9 kJ/mol of atoms